1.
# Sr3Li4Nb6O20

Sr3Li4Nb6O20 after structural relaxation (PBE, the Materials Project database).

Total magnetic moment (μB/cell): 0.0
Polymorph energy (0 for the lowest one) (eV per atom): 0.005
Crystal system: orthorhombic
Raw total energy (Ry per atom): -0.577
ΔH_f (0 K) (eV/atom): -3.048

a = 5.659 Å, b = 13.617 Å, c = 13.617 Å
α = 23.98°, β = 90.00°, γ = 90.00°
Fractional positions:
1 Sr 0.000 0.000 0.000
2 Sr 0.000 0.161 0.161
3 Sr 0.500 0.500 0.500
4 Li 0.250 0.076 0.575
5 Li 0.250 0.575 0.076
6 Li 0.750 0.076 0.575
7 Li 0.750 0.575 0.076
8 Nb 0.000 0.420 0.420
9 Nb 0.000 0.580 0.580
10 Nb 0.000 0.735 0.735
11 Nb 0.500 0.080 0.080
12 Nb 0.500 0.235 0.235
13 Nb 0.500 0.920 0.920
14 O 0.000 0.349 0.349
15 O 0.000 0.501 0.501
16 O 0.000 0.651 0.651
17 O 0.000 0.806 0.806
18 O 0.243 0.470 0.985
19 O 0.243 0.985 0.470
20 O 0.244 0.317 0.830
21 O 0.244 0.830 0.317
22 O 0.250 0.178 0.678
23 O 0.250 0.678 0.178
24 O 0.500 0.001 0.001
25 O 0.500 0.151 0.151
26 O 0.500 0.306 0.306
27 O 0.500 0.849 0.849
28 O 0.750 0.178 0.678
29 O 0.750 0.678 0.178
30 O 0.756 0.317 0.830
31 O 0.756 0.830 0.317
32 O 0.757 0.470 0.985
33 O 0.757 0.985 0.470

=====

2.
# Li4NbTe3O12

Li4NbTe3O12 after structural relaxation (PBE, the Materials Project database).

Total magnetic moment (μB/cell): 0.0
Polymorph energy (0 for the lowest one) (eV per atom): 0.003
Crystal system: triclinic
Raw total energy (Ry per atom): -0.435
ΔH_f (0 K) (eV/atom): -1.998

a = 5.285 Å, b = 5.620 Å, c = 7.714 Å
α = 85.30°, β = 89.80°, γ = 89.96°
Fractional positions:
1 Li 0.000 0.000 0.000
2 Li 0.002 0.039 0.529
3 Li 0.499 0.542 0.021
4 Li 0.504 0.494 0.507
5 Nb 0.501 0.069 0.791
6 Te 0.003 0.575 0.291
7 Te 0.004 0.563 0.790
8 Te 0.501 0.075 0.290
9 O 0.130 0.598 0.037
10 O 0.189 0.911 0.738
11 O 0.207 0.254 0.373
12 O 0.325 0.398 0.735
13 O 0.332 0.777 0.368
14 O 0.369 0.085 0.052
15 O 0.630 0.095 0.539
16 O 0.655 0.392 0.236
17 O 0.687 0.781 0.866
18 O 0.811 0.266 0.862
19 O 0.813 0.919 0.229
20 O 0.872 0.587 0.546

=====

3.
# Li4NbTe3O12

Li4NbTe3O12 after structural relaxation (PBE, the Materials Project database).

Total magnetic moment (μB/cell): 0.0
Polymorph energy (0 for the lowest one) (eV per atom): 0.000
Crystal system: monoclinic
Raw total energy (Ry per atom): -0.435
ΔH_f (0 K) (eV/atom): -2.001

a = 5.052 Å, b = 8.935 Å, c = 5.355 Å
α = 90.00°, β = 90.44°, γ = 90.00°
Fractional positions:
1 Li 0.000 0.000 0.000
2 Li 0.000 0.368 0.500
3 Li 0.500 0.510 0.500
4 Li 0.500 0.892 0.000
5 Nb 0.500 0.097 0.500
6 Te 0.000 0.596 0.000
7 Te 0.000 0.792 0.500
8 Te 0.500 0.282 0.000
9 O 0.199 0.783 0.815
10 O 0.214 0.631 0.347
11 O 0.237 0.941 0.353
12 O 0.265 0.435 0.829
13 O 0.290 0.262 0.329
14 O 0.303 0.100 0.825
15 O 0.697 0.100 0.175
16 O 0.710 0.262 0.671
17 O 0.735 0.435 0.171
18 O 0.763 0.941 0.647
19 O 0.786 0.631 0.653
20 O 0.801 0.783 0.185

=====

4.
# Li4Nb3TeO12

Li4Nb3TeO12 after structural relaxation (PBE, the Materials Project database).

Total magnetic moment (μB/cell): 0.0
Crystal system: triclinic
Raw total energy (Ry per atom): -0.529
ΔH_f (0 K) (eV/atom): -2.589

a = 5.238 Å, b = 5.590 Å, c = 7.671 Å
α = 84.82°, β = 89.94°, γ = 89.94°
Fractional positions:
1 Li 0.000 0.000 0.000
2 Li 0.002 0.994 0.503
3 Li 0.499 0.491 0.999
4 Li 0.503 0.496 0.507
5 Nb 0.001 0.436 0.723
6 Nb 0.503 0.937 0.715
7 Nb 0.999 0.420 0.225
8 Te 0.503 0.920 0.215
9 O 0.126 0.393 0.956
10 O 0.174 0.085 0.266
11 O 0.195 0.712 0.638
12 O 0.306 0.212 0.637
13 O 0.324 0.581 0.266
14 O 0.371 0.894 0.955
15 O 0.633 0.891 0.460
16 O 0.681 0.587 0.763
17 O 0.696 0.218 0.134
18 O 0.815 0.717 0.138
19 O 0.820 0.088 0.763
20 O 0.875 0.394 0.458

=====

5.
# Li7Zr3NbTe4O24

Li7Zr3NbTe4O24 after structural relaxation (PBE, the Materials Project database).

Total magnetic moment (μB/cell): 0.0
Crystal system: trigonal
Raw total energy (Ry per atom): -0.487
ΔH_f (0 K) (eV/atom): -2.428

a = 18.705 Å, b = 18.705 Å, c = 18.705 Å
α = 16.16°, β = 16.16°, γ = 16.16°
Fractional positions:
1 Li 0.000 0.000 0.000
2 Li 0.120 0.120 0.120
3 Li 0.250 0.250 0.250
4 Li 0.500 0.500 0.500
5 Li 0.621 0.621 0.621
6 Li 0.749 0.749 0.749
7 Li 0.870 0.870 0.870
8 Zr 0.191 0.191 0.191
9 Zr 0.441 0.441 0.441
10 Zr 0.942 0.942 0.942
11 Nb 0.692 0.692 0.692
12 Te 0.066 0.066 0.066
13 Te 0.318 0.318 0.318
14 Te 0.567 0.567 0.567
15 Te 0.816 0.816 0.816
16 O 0.013 0.262 0.621
17 O 0.015 0.624 0.376
18 O 0.112 0.783 0.368
19 O 0.118 0.507 0.766
20 O 0.122 0.859 0.534
21 O 0.257 0.516 0.869
22 O 0.262 0.621 0.013
23 O 0.285 0.871 0.610
24 O 0.368 0.112 0.783
25 O 0.376 0.015 0.624
26 O 0.378 0.780 0.981
27 O 0.507 0.766 0.118
28 O 0.516 0.869 0.257
29 O 0.534 0.122 0.859
30 O 0.610 0.285 0.871
31 O 0.621 0.013 0.262
32 O 0.624 0.376 0.015
33 O 0.766 0.118 0.507
34 O 0.780 0.981 0.378
35 O 0.783 0.368 0.112
36 O 0.859 0.534 0.122
37 O 0.869 0.257 0.516
38 O 0.871 0.610 0.285
39 O 0.981 0.378 0.780

=====

6.
# Li7Zr3NbTe4O24

Li7Zr3NbTe4O24 after structural relaxation (PBE, the Materials Project database).

Total magnetic moment (μB/cell): 0.0
Crystal system: triclinic
Raw total energy (Ry per atom): -0.488
ΔH_f (0 K) (eV/atom): -2.429

a = 5.266 Å, b = 5.536 Å, c = 34.711 Å
α = 92.43°, β = 90.00°, γ = 118.36°
Fractional positions:
1 Li 0.000 0.000 0.000
2 Li 0.046 0.095 0.187
3 Li 0.126 0.256 0.374
4 Li 0.172 0.344 0.558
5 Li 0.250 0.500 0.750
6 Li 0.299 0.597 0.936
7 Li 0.375 0.749 0.126
8 Li 0.500 0.001 0.498
9 Li 0.548 0.097 0.686
10 Li 0.625 0.250 0.875
11 Li 0.673 0.347 0.061
12 Li 0.755 0.502 0.250
13 Li 0.875 0.749 0.624
14 Li 0.924 0.847 0.811
15 Zr 0.239 0.476 0.840
16 Zr 0.363 0.730 0.216
17 Zr 0.489 0.976 0.589
18 Zr 0.614 0.226 0.965
19 Zr 0.863 0.726 0.714
20 Zr 0.989 0.976 0.090
21 Nb 0.116 0.225 0.462
22 Nb 0.738 0.480 0.339
23 Te 0.059 0.102 0.278
24 Te 0.173 0.346 0.651
25 Te 0.298 0.596 0.027
26 Te 0.431 0.852 0.401
27 Te 0.548 0.096 0.777
28 Te 0.673 0.347 0.152
29 Te 0.796 0.598 0.525
30 Te 0.923 0.846 0.902
31 O 0.012 0.281 0.054
32 O 0.049 0.728 0.570
33 O 0.050 0.429 0.981
34 O 0.066 0.897 0.495
35 O 0.091 0.795 0.041
36 O 0.101 0.614 0.888
37 O 0.134 0.665 0.361
38 O 0.170 0.982 0.947
39 O 0.176 0.529 0.431
40 O 0.194 0.134 0.870
41 O 0.221 0.051 0.417
42 O 0.221 0.870 0.262
43 O 0.262 0.781 0.804
44 O 0.300 0.928 0.731
45 O 0.309 0.246 0.324
46 O 0.324 0.388 0.247
47 O 0.341 0.295 0.790
48 O 0.350 0.113 0.637
49 O 0.387 0.031 0.179
50 O 0.420 0.481 0.697
51 O 0.425 0.180 0.106
52 O 0.444 0.634 0.620
53 O 0.470 0.549 0.167
54 O 0.476 0.365 0.013
55 O 0.511 0.410 0.482
56 O 0.523 0.285 0.554
57 O 0.545 0.732 0.072
58 O 0.569 0.884 0.996
59 O 0.589 0.794 0.539
60 O 0.592 0.619 0.383
61 O 0.637 0.531 0.929
62 O 0.675 0.678 0.856
63 O 0.682 0.995 0.447
64 O 0.695 0.147 0.371
65 O 0.716 0.045 0.915
66 O 0.726 0.864 0.763
67 O 0.793 0.776 0.307
68 O 0.795 0.232 0.822
69 O 0.796 0.938 0.234
70 O 0.819 0.384 0.745
71 O 0.852 0.116 0.138
72 O 0.852 0.304 0.294
73 O 0.887 0.031 0.678
74 O 0.921 0.482 0.198
75 O 0.927 0.177 0.605
76 O 0.943 0.634 0.121
77 O 0.965 0.544 0.665
78 O 0.971 0.364 0.509

=====

7.
# Li15Ti11Nb5O42

Li15Ti11Nb5O42 after structural relaxation (PBE, the Materials Project database).

Total magnetic moment (μB/cell): 0.0
Crystal system: trigonal
Raw total energy (Ry per atom): -0.572
ΔH_f (0 K) (eV/atom): -3.056

a = 5.138 Å, b = 5.138 Å, c = 33.169 Å
α = 90.00°, β = 90.00°, γ = 120.00°
Fractional positions:
1 Li 0.000 0.000 0.000
2 Li 0.000 0.000 0.061
3 Li 0.000 0.000 0.227
4 Li 0.000 0.000 0.334
5 Li 0.000 0.000 0.541
6 Li 0.000 0.000 0.727
7 Li 0.000 0.000 0.834
8 Li 0.333 0.667 0.152
9 Li 0.333 0.667 0.479
10 Li 0.333 0.667 0.653
11 Li 0.333 0.667 0.979
12 Li 0.667 0.333 0.082
13 Li 0.667 0.333 0.407
14 Li 0.667 0.333 0.584
15 Li 0.667 0.333 0.909
16 Ti 0.333 0.667 0.064
17 Ti 0.333 0.667 0.270
18 Ti 0.333 0.667 0.361
19 Ti 0.333 0.667 0.567
20 Ti 0.333 0.667 0.770
21 Ti 0.333 0.667 0.861
22 Ti 0.667 0.333 0.200
23 Ti 0.667 0.333 0.291
24 Ti 0.667 0.333 0.700
25 Ti 0.667 0.333 0.791
26 Ti 0.667 0.333 0.997
27 Nb 0.000 0.000 0.137
28 Nb 0.000 0.000 0.426
29 Nb 0.000 0.000 0.635
30 Nb 0.000 0.000 0.924
31 Nb 0.667 0.333 0.497
32 O 0.000 0.363 0.030
33 O 0.004 0.625 0.531
34 O 0.022 0.389 0.315
35 O 0.022 0.633 0.815
36 O 0.035 0.331 0.888
37 O 0.036 0.707 0.388
38 O 0.045 0.338 0.601
39 O 0.049 0.714 0.100
40 O 0.286 0.334 0.100
41 O 0.293 0.329 0.388
42 O 0.293 0.955 0.601
43 O 0.296 0.965 0.888
44 O 0.330 0.293 0.673
45 O 0.331 0.035 0.173
46 O 0.334 0.286 0.960
47 O 0.339 0.039 0.459
48 O 0.363 0.000 0.030
49 O 0.367 0.389 0.815
50 O 0.367 0.978 0.315
51 O 0.375 0.380 0.531
52 O 0.389 0.022 0.746
53 O 0.389 0.367 0.246
54 O 0.611 0.633 0.315
55 O 0.611 0.978 0.815
56 O 0.620 0.996 0.531
57 O 0.633 0.022 0.246
58 O 0.633 0.611 0.746
59 O 0.637 0.637 0.030
60 O 0.662 0.707 0.601
61 O 0.666 0.951 0.100
62 O 0.669 0.704 0.888
63 O 0.671 0.964 0.388
64 O 0.700 0.661 0.459
65 O 0.704 0.669 0.173
66 O 0.707 0.037 0.673
67 O 0.714 0.049 0.960
68 O 0.951 0.666 0.960
69 O 0.961 0.300 0.459
70 O 0.963 0.670 0.673
71 O 0.965 0.296 0.173
72 O 0.978 0.367 0.746
73 O 0.978 0.611 0.246

=====

8.
# Li3Ti2NbO6

Li3Ti2NbO6 after structural relaxation (PBE, the Materials Project database).

Total magnetic moment (μB/cell): 0.0
Crystal system: monoclinic
Raw total energy (Ry per atom): -0.557
ΔH_f (0 K) (eV/atom): -2.807

a = 6.795 Å, b = 6.795 Å, c = 6.102 Å
α = 106.60°, β = 106.60°, γ = 24.92°
Fractional positions:
1 Li 0.000 0.000 0.000
2 Li 0.332 0.332 0.676
3 Li 0.668 0.668 0.324
4 Ti 0.342 0.342 0.182
5 Ti 0.658 0.658 0.818
6 Nb 0.000 0.000 0.500
7 O 0.172 0.172 0.594
8 O 0.175 0.175 0.063
9 O 0.499 0.499 0.764
10 O 0.501 0.501 0.236
11 O 0.825 0.825 0.937
12 O 0.828 0.828 0.406

=====

Please write out number 6 again, unchanged.
# Li7Zr3NbTe4O24

Li7Zr3NbTe4O24 after structural relaxation (PBE, the Materials Project database).

Total magnetic moment (μB/cell): 0.0
Crystal system: triclinic
Raw total energy (Ry per atom): -0.488
ΔH_f (0 K) (eV/atom): -2.429

a = 5.266 Å, b = 5.536 Å, c = 34.711 Å
α = 92.43°, β = 90.00°, γ = 118.36°
Fractional positions:
1 Li 0.000 0.000 0.000
2 Li 0.046 0.095 0.187
3 Li 0.126 0.256 0.374
4 Li 0.172 0.344 0.558
5 Li 0.250 0.500 0.750
6 Li 0.299 0.597 0.936
7 Li 0.375 0.749 0.126
8 Li 0.500 0.001 0.498
9 Li 0.548 0.097 0.686
10 Li 0.625 0.250 0.875
11 Li 0.673 0.347 0.061
12 Li 0.755 0.502 0.250
13 Li 0.875 0.749 0.624
14 Li 0.924 0.847 0.811
15 Zr 0.239 0.476 0.840
16 Zr 0.363 0.730 0.216
17 Zr 0.489 0.976 0.589
18 Zr 0.614 0.226 0.965
19 Zr 0.863 0.726 0.714
20 Zr 0.989 0.976 0.090
21 Nb 0.116 0.225 0.462
22 Nb 0.738 0.480 0.339
23 Te 0.059 0.102 0.278
24 Te 0.173 0.346 0.651
25 Te 0.298 0.596 0.027
26 Te 0.431 0.852 0.401
27 Te 0.548 0.096 0.777
28 Te 0.673 0.347 0.152
29 Te 0.796 0.598 0.525
30 Te 0.923 0.846 0.902
31 O 0.012 0.281 0.054
32 O 0.049 0.728 0.570
33 O 0.050 0.429 0.981
34 O 0.066 0.897 0.495
35 O 0.091 0.795 0.041
36 O 0.101 0.614 0.888
37 O 0.134 0.665 0.361
38 O 0.170 0.982 0.947
39 O 0.176 0.529 0.431
40 O 0.194 0.134 0.870
41 O 0.221 0.051 0.417
42 O 0.221 0.870 0.262
43 O 0.262 0.781 0.804
44 O 0.300 0.928 0.731
45 O 0.309 0.246 0.324
46 O 0.324 0.388 0.247
47 O 0.341 0.295 0.790
48 O 0.350 0.113 0.637
49 O 0.387 0.031 0.179
50 O 0.420 0.481 0.697
51 O 0.425 0.180 0.106
52 O 0.444 0.634 0.620
53 O 0.470 0.549 0.167
54 O 0.476 0.365 0.013
55 O 0.511 0.410 0.482
56 O 0.523 0.285 0.554
57 O 0.545 0.732 0.072
58 O 0.569 0.884 0.996
59 O 0.589 0.794 0.539
60 O 0.592 0.619 0.383
61 O 0.637 0.531 0.929
62 O 0.675 0.678 0.856
63 O 0.682 0.995 0.447
64 O 0.695 0.147 0.371
65 O 0.716 0.045 0.915
66 O 0.726 0.864 0.763
67 O 0.793 0.776 0.307
68 O 0.795 0.232 0.822
69 O 0.796 0.938 0.234
70 O 0.819 0.384 0.745
71 O 0.852 0.116 0.138
72 O 0.852 0.304 0.294
73 O 0.887 0.031 0.678
74 O 0.921 0.482 0.198
75 O 0.927 0.177 0.605
76 O 0.943 0.634 0.121
77 O 0.965 0.544 0.665
78 O 0.971 0.364 0.509

=====

What is the total magnetic moment in the fifth record?
0.0 μB/cell

=====

Which of these has the highest ΔH_f (0 K)?
number 2

=====

Number 5 is which compound?
Li7Zr3NbTe4O24